Rb2ZnO2 after structural relaxation. Source: the Materials Project database, functional PBE-GGA.

For the raw total energy, the calculation gives -155.88 eV/cell. For the formation enthalpy at 0 K, the calculation gives -1.55 eV per atom. Its density is 4.02 g cm⁻³.

It has space group P2_1/c (No. 14), with a = 9.7342 Å, b = 6.4386 Å, c = 16.1496 Å, α = 90.00°, β = 118.82° and γ = 90.00°. The inequivalent atoms are Rb at (0.0671, 0.0663, 0.1210), Rb at (0.1777, 0.5820, 0.2612), Rb at (0.3554, 0.6757, 0.5277), Rb at (0.4196, 0.1300, 0.6634), Zn at (0.0874, 0.0530, 0.4599), Zn at (0.2601, 0.1273, 0.3713), O at (0.1183, 0.6013, 0.8581), O at (0.1335, 0.6331, 0.0726), O at (0.2421, 0.2212, 0.9724) and O at (0.3615, 0.1954, 0.3021).